Below is an optimized crystal structure of Sn3Sb, with properties calculated at the PBE level.

Geometry as POSCAR:
```
Sn3Sb
1.0
-1.969 2.640 3.523
-0.246 -3.920 2.799
4.396 0.963 1.735
Sn Sb
3 1
Cartesian
-1.107 -0.640 3.161
2.075 -1.478 2.267
1.213 1.801 2.629
0.000 0.000 0.000
```

Results
- energy of formation from the pure elements (eV/f.u.) = 0.155
- SG = No. 221
- electronic total energy (Ha/atom) = -0.145